No. 1
Computed, not measured: a relaxed BaCo2As2O8 crystal at the PBE with a Hubbard U level of DFT.

abc: 8.543 8.720 8.623
angles: 33.42 33.73 34.16
Element x y z (fractional)
O 0.450 0.776 0.119
Co 0.825 0.830 0.840
O 0.206 0.884 0.555
O 0.130 0.428 0.790
Ba 0.000 0.001 0.000
As 0.436 0.419 0.430
O 0.795 0.115 0.446
O 0.553 0.222 0.880
O 0.639 0.650 0.635
O 0.871 0.568 0.212
Co 0.173 0.172 0.160
O 0.359 0.353 0.364
As 0.564 0.580 0.570

Computed properties:
Volume in Å³/atom: 13.60
Final energy in eV for the cell shown: -81.73
Formation enthalpy at 0 K in eV per atom: -1.959
Energy relative to the lowest polymorph listed for this composition in meV/atom: 14

---

No. 2
Computed, not measured: a relaxed BaCo2As2O8 crystal at the PBE with a Hubbard U level of DFT.

abc: 5.063 8.604 8.769
angles: 109.86 90.00 90.00
Element x y z (fractional)
O 0.828 0.652 0.389
O 0.172 0.348 0.954
O 0.156 0.348 0.282
As 0.000 0.718 0.573
O 0.672 0.348 0.111
O 0.000 0.072 0.357
O 0.844 0.652 0.718
O 0.000 0.928 0.643
Co 0.500 0.491 0.330
O 0.656 0.348 0.782
Co 0.000 0.491 0.830
O 0.500 0.072 0.857
O 0.172 0.348 0.611
Co 0.000 0.509 0.170
O 0.328 0.652 0.889
As 0.000 0.282 0.427
O 0.500 0.928 0.143
O 0.344 0.652 0.218
Ba 0.000 0.000 0.000
Ba 0.500 0.000 0.500
As 0.500 0.282 0.927
O 0.328 0.652 0.546
O 0.828 0.652 0.046
Co 0.500 0.509 0.670
O 0.672 0.348 0.454
As 0.500 0.718 0.073

Computed properties:
Volume in Å³/atom: 13.82
Final energy in eV for the cell shown: -163.81
Formation enthalpy at 0 K in eV per atom: -1.972
Energy relative to the lowest polymorph listed for this composition in meV/atom: 0